Record 1
This record from the Materials Project database describes a geometry-optimized Na2MgSi2Ge3S4O24 structure. The functional is PBE.

Cell: 8.492 8.494 22.180 Å, 89.82 88.51 60.43°
Space group P1 (No. 1)
Unique sites:
Na: 0.000 0.000 0.000 [1 per cell]
Na: 0.003 0.993 0.499 [1 per cell]
Na: 0.344 0.325 0.828 [1 per cell]
Na: 0.361 0.302 0.335 [1 per cell]
Na: 0.670 0.679 0.169 [1 per cell]
Na: 0.708 0.636 0.665 [1 per cell]
Mg: 0.370 0.313 0.981 [1 per cell]
Mg: 0.666 0.686 0.309 [1 per cell]
Mg: 0.698 0.648 0.806 [1 per cell]
Si: 0.031 0.275 0.743 [1 per cell]
Si: 0.069 0.617 0.580 [1 per cell]
Si: 0.294 0.992 0.247 [1 per cell]
Si: 0.632 0.341 0.582 [1 per cell]
Si: 0.652 0.034 0.080 [1 per cell]
Si: 0.678 0.956 0.415 [1 per cell]
Ge: 0.015 0.990 0.147 [1 per cell]
Ge: 0.017 0.997 0.356 [1 per cell]
Ge: 0.025 0.003 0.845 [1 per cell]
Ge: 0.330 0.347 0.679 [1 per cell]
Ge: 0.358 0.297 0.187 [1 per cell]
Ge: 0.371 0.331 0.481 [1 per cell]
Ge: 0.681 0.673 0.018 [1 per cell]
Ge: 0.707 0.660 0.521 [1 per cell]
Ge: 0.999 0.010 0.637 [1 per cell]
S: 0.029 0.695 0.246 [1 per cell]
S: 0.056 0.331 0.081 [1 per cell]
S: 0.300 0.708 0.747 [1 per cell]
S: 0.353 0.041 0.580 [1 per cell]
S: 0.354 0.615 0.081 [1 per cell]
S: 0.391 0.945 0.913 [1 per cell]
S: 0.393 0.663 0.415 [1 per cell]
S: 0.691 0.371 0.914 [1 per cell]
S: 0.724 0.282 0.248 [1 per cell]
S: 0.731 0.000 0.748 [1 per cell]
S: 0.975 0.372 0.414 [1 per cell]
S: 0.976 0.669 0.913 [1 per cell]
O: 0.005 0.166 0.687 [1 per cell]
O: 0.040 0.165 0.087 [1 per cell]
O: 0.057 0.778 0.300 [1 per cell]
O: 0.059 0.814 0.590 [1 per cell]
O: 0.073 0.156 0.807 [1 per cell]
O: 0.128 0.372 0.136 [1 per cell]
O: 0.134 0.497 0.641 [1 per cell]
O: 0.155 0.355 0.421 [1 per cell]
O: 0.157 0.512 0.921 [1 per cell]
O: 0.163 0.033 0.307 [1 per cell]
O: 0.163 0.308 0.026 [1 per cell]
O: 0.183 0.782 0.806 [1 per cell]
O: 0.191 0.019 0.586 [1 per cell]
O: 0.192 0.523 0.520 [1 per cell]
O: 0.196 0.976 0.185 [1 per cell]
O: 0.198 0.802 0.087 [1 per cell]
O: 0.207 0.953 0.911 [1 per cell]
O: 0.208 0.524 0.236 [1 per cell]
O: 0.208 0.830 0.411 [1 per cell]
O: 0.215 0.812 0.694 [1 per cell]
O: 0.225 0.278 0.738 [1 per cell]
O: 0.293 0.190 0.244 [1 per cell]
O: 0.318 0.154 0.526 [1 per cell]
O: 0.318 0.524 0.746 [1 per cell]
O: 0.325 0.539 0.027 [1 per cell]
O: 0.362 0.129 0.920 [1 per cell]
O: 0.364 0.502 0.419 [1 per cell]
O: 0.381 0.508 0.136 [1 per cell]
O: 0.386 0.118 0.636 [1 per cell]
O: 0.468 0.837 0.971 [1 per cell]
O: 0.471 0.688 0.469 [1 per cell]
O: 0.473 0.701 0.755 [1 per cell]
O: 0.488 0.820 0.246 [1 per cell]
O: 0.496 0.160 0.425 [1 per cell]
O: 0.499 0.630 0.359 [1 per cell]
O: 0.502 0.856 0.861 [1 per cell]
O: 0.510 0.368 0.644 [1 per cell]
O: 0.514 0.860 0.575 [1 per cell]
O: 0.520 0.118 0.142 [1 per cell]
O: 0.525 0.628 0.074 [1 per cell]
O: 0.529 0.353 0.919 [1 per cell]
O: 0.537 0.307 0.242 [1 per cell]
O: 0.561 0.171 0.745 [1 per cell]
O: 0.561 0.286 0.523 [1 per cell]
O: 0.587 0.146 0.021 [1 per cell]
O: 0.641 0.890 0.353 [1 per cell]
O: 0.643 0.526 0.571 [1 per cell]
O: 0.669 0.829 0.074 [1 per cell]
O: 0.680 0.475 0.861 [1 per cell]
O: 0.705 0.845 0.756 [1 per cell]
O: 0.717 0.456 0.253 [1 per cell]
O: 0.720 0.827 0.475 [1 per cell]
O: 0.721 0.451 0.971 [1 per cell]
O: 0.796 0.165 0.301 [1 per cell]
O: 0.816 0.029 0.805 [1 per cell]
O: 0.829 0.198 0.190 [1 per cell]
O: 0.834 0.162 0.586 [1 per cell]
O: 0.848 0.957 0.693 [1 per cell]
O: 0.856 0.470 0.746 [1 per cell]
O: 0.857 0.001 0.094 [1 per cell]
O: 0.859 0.184 0.911 [1 per cell]
O: 0.861 0.447 0.471 [1 per cell]
O: 0.862 0.702 0.971 [1 per cell]
O: 0.866 0.644 0.576 [1 per cell]
O: 0.866 0.978 0.408 [1 per cell]
O: 0.868 0.489 0.075 [1 per cell]
O: 0.880 0.657 0.251 [1 per cell]
O: 0.890 0.646 0.861 [1 per cell]
O: 0.892 0.473 0.361 [1 per cell]
O: 0.987 0.842 0.908 [1 per cell]
O: 0.988 0.810 0.190 [1 per cell]
O: 0.997 0.184 0.413 [1 per cell]

Summary:
The total magnetization is 0.000 μB per formula unit. The value obtained for the energy of formation is -2.178 eV/atom. Its density is 3.1 g/cm³.

***

Record 2
This record from the Materials Project database describes a geometry-optimized Ce3Zr5O16 structure. The functional is PBE.

Cell: 10.551 10.648 5.359 Å, 90.00 90.00 90.00°
Space group C222 (No. 21)
Unique sites:
Ce: 0.000 0.000 0.000 [2 per cell]
Ce: 0.000 0.257 0.500 [4 per cell]
Zr: 0.000 0.500 0.000 [2 per cell]
Zr: 0.247 0.000 0.500 [4 per cell]
Zr: 0.250 0.250 0.000 [4 per cell]
O: 0.121 0.361 0.192 [8 per cell]
O: 0.123 0.399 0.710 [8 per cell]
O: 0.130 0.141 0.776 [8 per cell]
O: 0.132 0.112 0.278 [8 per cell]

Summary:
The piezoelectric modulus e_max is 1.14 C/m2. The total magnetization is 0.000 μB per formula unit. The value obtained for the energy of formation is -3.811 eV/atom. Its density is 6.2 g/cm³.

***

Record 3
This record from the Materials Project database describes a geometry-optimized ZnCu3NiSe4 structure. The functional is PBE.

Cell: 5.634 5.634 5.634 Å, 90.00 90.00 90.00°
Space group P-43m (No. 215)
Unique sites:
Zn: 0.000 0.000 0.000 [1 per cell]
Cu: 0.000 0.500 0.500 [3 per cell]
Ni: 0.500 0.500 0.500 [1 per cell]
Se: 0.254 0.254 0.746 [4 per cell]

Summary:
The total magnetization is 0.398 μB per formula unit. The value obtained for the energy of formation is -0.401 eV/atom. Its density is 5.9 g/cm³.

***

Which of these has the highest total magnetization? ZnCu3NiSe4